A plane-wave DFT calculation with PBE was carried out for a geometry-optimized Na2InGaP2SO12 structure.

Cell lengths 8.8229, 8.8286, 22.4735 Å; angles 90.53, 89.48, 120.08 degrees
Last column: nearest neighbours and their distance in Å.
Fractional coordinates of all 114 atoms:
Na1 0.9969 0.6346 0.2542  5 O 2.38-2.57
Na2 0.3694 0.0069 0.7506  5 O 2.37-2.54
Na3 0.6630 0.9599 0.5866  5 O 2.38-2.51
Na4 0.0375 0.3365 0.0874  5 O 2.36-2.51
Na5 0.3272 0.2992 0.9196  5 O 2.37-2.56
Na6 0.6989 0.6711 0.4193  5 O 2.39-2.59
Na7 0.0255 0.9996 0.4994  5 O 2.42-2.66
Na8 0.0042 0.9776 0.0011  6 O 2.44-2.71
Na9 0.6908 0.3303 0.8316  5 O 2.39-2.65
Na10 0.6659 0.3103 0.3346  6 O 2.43-2.65
Na11 0.3558 0.6647 0.1710  6 O 2.40-2.66
Na12 0.3347 0.6452 0.6651  5 O 2.35-2.59
In1 0.9974 0.0064 0.8466  6 O 2.07-2.20
In2 0.0010 0.9990 0.1544  6 O 2.10-2.22
In3 0.6675 0.3305 0.9833  6 O 2.08-2.23
In4 0.3283 0.6713 0.0200  6 O 2.07-2.22
In5 0.3304 0.6718 0.5163  6 O 2.08-2.23
In6 0.3356 0.6650 0.8118  6 O 2.08-2.26
Ga1 0.9845 0.9975 0.3486  6 O 1.92-2.12
Ga2 0.0033 0.9983 0.6467  5 O 1.93-2.05
Ga3 0.6555 0.3323 0.6816  6 O 1.90-2.08
Ga4 0.6670 0.3479 0.1867  5 O 1.91-2.11
Ga5 0.6671 0.3315 0.4825  6 O 1.95-2.18
Ga6 0.3332 0.6666 0.3193  6 O 1.96-2.10
P1 0.6933 0.7001 0.2534  4 O 1.53-1.57
P2 0.0005 0.3003 0.2514  4 O 1.54-1.57
P3 0.2974 0.2940 0.7455  4 O 1.53-1.56
P4 0.7086 0.0088 0.7426  4 O 1.53-1.57
P5 0.3731 0.0496 0.5838  4 O 1.54-1.56
P6 0.6737 0.6241 0.5822  4 O 1.53-1.57
P7 0.9580 0.6286 0.0878  4 O 1.53-1.56
P8 0.3749 0.3341 0.0852  4 O 1.54-1.56
P9 0.0343 0.3687 0.9173  4 O 1.53-1.56
P10 0.3321 0.9649 0.9134  4 O 1.53-1.56
P11 0.6306 0.9680 0.4166  4 O 1.54-1.56
P12 0.0342 0.6688 0.4139  4 O 1.53-1.57
S1 0.3019 0.0021 0.2536  4 O 1.48-1.49
S2 0.9896 0.6986 0.7454  4 O 1.47-1.49
S3 0.9543 0.3315 0.5839  4 O 1.47-1.50
S4 0.6645 0.0403 0.0882  4 O 1.47-1.49
S5 0.6346 0.6705 0.9169  4 O 1.47-1.48
S6 0.3277 0.3643 0.4154  4 O 1.47-1.50
O1 0.2128 0.0287 0.3051  1 S 1.48
O2 0.8197 0.7835 0.3074  1 P 1.56
O3 0.9758 0.1761 0.3029  1 P 1.54
O4 0.2327 0.1920 0.8051  1 P 1.56
O5 0.9642 0.7702 0.8020  1 S 1.48
O6 0.8070 0.0289 0.8006  1 P 1.53
O7 0.7967 0.9816 0.6867  1 P 1.55
O8 0.1751 0.1901 0.6940  1 P 1.53
O9 0.0173 0.8149 0.6945  1 S 1.48
O10 0.7709 0.8101 0.1972  1 P 1.53
O11 0.0344 0.2345 0.1915  1 P 1.55
O12 0.1946 0.9618 0.1988  1 S 1.49
O13 0.8711 0.3532 0.6379  1 S 1.47
O14 0.4857 0.1262 0.6406  1 P 1.55
O15 0.6538 0.5129 0.6367  1 P 1.53
O16 0.8715 0.5157 0.1443  1 P 1.56
O17 0.6495 0.1330 0.1407  1 S 1.47
O18 0.4876 0.3443 0.1386  1 P 1.54
O19 0.4446 0.3123 0.0243  1 P 1.55
O20 0.8580 0.5432 0.0306  1 P 1.53
O21 0.6877 0.1351 0.0319  1 S 1.48
O22 0.4650 0.1617 0.5285  1 P 1.54
O23 0.6955 0.5433 0.5230  1 P 1.56
O24 0.8484 0.3055 0.5297  1 S 1.49
O25 0.5534 0.6902 0.9718  1 S 1.47
O26 0.1400 0.4441 0.9757  1 P 1.56
O27 0.3195 0.8614 0.9692  1 P 1.53
O28 0.5676 0.8559 0.4744  1 P 1.56
O29 0.2951 0.4350 0.4710  1 S 1.48
O30 0.1427 0.6998 0.4701  1 P 1.53
O31 0.1202 0.6396 0.3577  1 P 1.55
O32 0.5063 0.8704 0.3645  1 P 1.54
O33 0.3619 0.4843 0.3646  1 S 1.49
O34 0.1291 0.4771 0.8623  1 P 1.53
O35 0.3545 0.8873 0.8542  1 P 1.55
O36 0.5296 0.6475 0.8632  1 S 1.48
O37 0.0102 0.8320 0.4067  1 P 1.57
O38 0.8147 0.9862 0.4069  1 P 1.56
O39 0.1753 0.1880 0.4063  1 S 1.47
O40 0.0198 0.1862 0.9142  1 P 1.55
O41 0.1651 0.9813 0.9120  1 P 1.55
O42 0.8107 0.8250 0.9131  1 S 1.47
O43 0.9683 0.1697 0.5870  1 S 1.50
O44 0.1889 0.0301 0.5892  1 P 1.55
O45 0.8368 0.8138 0.5873  1 P 1.57
O46 0.9781 0.8112 0.0908  1 P 1.53
O47 0.8252 0.0261 0.0907  1 S 1.49
O48 0.1857 0.1749 0.0892  1 P 1.56
O49 0.6878 0.1737 0.7383  1 P 1.56
O50 0.4822 0.3132 0.7395  1 P 1.56
O51 0.8370 0.5217 0.7390  1 S 1.47
O52 0.6816 0.5174 0.2472  1 P 1.57
O53 0.8337 0.3199 0.2470  1 P 1.57
O54 0.4768 0.1595 0.2469  1 S 1.48
O55 0.6449 0.5078 0.9187  1 S 1.48
O56 0.8527 0.3515 0.9190  1 P 1.53
O57 0.4916 0.1543 0.9163  1 P 1.56
O58 0.6465 0.1498 0.4243  1 P 1.55
O59 0.4922 0.3555 0.4203  1 S 1.50
O60 0.8460 0.5042 0.4203  1 P 1.57
O61 0.3591 0.5022 0.0852  1 P 1.56
O62 0.1401 0.6399 0.0868  1 P 1.56
O63 0.5069 0.8645 0.0865  1 S 1.48
O64 0.3582 0.8659 0.5800  1 P 1.56
O65 0.5090 0.6469 0.5797  1 P 1.57
O66 0.1317 0.4873 0.5802  1 S 1.48
O67 0.3186 0.8429 0.2605  1 S 1.49
O68 0.5106 0.6781 0.2633  1 P 1.54
O69 0.1609 0.4886 0.2604  1 P 1.56
O70 0.3128 0.4753 0.7479  1 P 1.54
O71 0.1542 0.6898 0.7476  1 S 1.49
O72 0.5189 0.8468 0.7454  1 P 1.57

Calculated values
- Space-group type: P1
- DFT formation energy: -2.36 eV per atom
- Magnetization: 0.0 μB/f.u.

---

A plane-wave DFT calculation with PBE was carried out for a geometry-optimized MgIO12 structure.

Cell lengths 10.2797, 6.7181, 8.1438 Å; angles 66.30, 90.00, 90.00 degrees
Last column: nearest neighbours and their distance in Å.
Fractional coordinates of all 28 atoms:
Mg1 0.5669 0.5621 0.3203  4 O 1.99-2.16
Mg2 0.4331 0.5621 0.8203  4 O 1.99-2.16
I1 0.7141 0.5305 0.7461  6 O 1.88-1.91
I2 0.2859 0.5305 0.2461  6 O 1.88-1.91
O1 0.8566 0.7095 0.6314  1 I 1.89
O2 0.1434 0.7095 0.1314  1 I 1.89
O3 0.8525 0.3277 0.7817  1 I 1.91
O4 0.1475 0.3277 0.2817  1 I 1.91
O5 0.5831 0.3272 0.8652  1 I 1.89
O6 0.4169 0.3272 0.3652  1 I 1.89
O7 0.5932 0.7574 0.6963  1 I 1.88, 1 Mg 2.09
O8 0.4068 0.7574 0.1963  1 I 1.88, 1 Mg 2.09
O9 0.6812 0.4897 0.5344  1 I 1.88, 1 Mg 1.99
O10 0.3188 0.4897 0.0344  1 I 1.88, 1 Mg 1.99
O11 0.7727 0.5367 0.9632  1 I 1.88
O12 0.2273 0.5367 0.4632  1 I 1.88
O13 0.8738 0.5012 0.3173  1 O 1.26
O14 0.1262 0.5012 0.8173  1 O 1.26
O15 0.8613 0.7034 0.2280  2 O 1.26-1.32
O16 0.1387 0.7034 0.7280  2 O 1.26-1.32
O17 0.5505 0.5565 0.0579  2 Mg 2.16-2.27
O18 0.4495 0.5565 0.5579  2 Mg 2.16-2.27
O19 0.6094 0.0392 0.3008  1 O 1.22
O20 0.3906 0.0392 0.8008  1 O 1.22
O21 0.6759 0.1512 0.3555  1 O 1.22
O22 0.3241 0.1512 0.8555  1 O 1.22
O23 0.7420 0.7798 0.1861  1 O 1.32
O24 0.2580 0.7798 0.6861  1 O 1.32

Calculated values
- Space-group type: Pc
- DFT formation energy: 0.10 eV per atom
- Magnetization: 3.0 μB/f.u.
- ΔE to the lowest computed polymorph: 98 meV/atom

---

A plane-wave DFT calculation with PBE was carried out for a geometry-optimized Ti3Cd structure.

Cell lengths 4.1510, 4.1510, 4.1510 Å; angles 90.00, 90.00, 90.00 degrees
Last column: nearest neighbours and their distance in Å.
Fractional coordinates of all 4 atoms:
Ti1 0.0000 0.5000 0.5000  8 Ti 2.94, 4 Cd 2.94
Ti2 0.5000 0.0000 0.5000  8 Ti 2.94, 4 Cd 2.94
Ti3 0.5000 0.5000 0.0000  8 Ti 2.94, 4 Cd 2.94
Cd1 0.0000 0.0000 0.0000  12 Ti 2.94

Calculated values
- Space-group type: Pm-3m
- DFT formation energy: 0.05 eV per atom
- Magnetization: 0.0 μB/f.u.

---

A plane-wave DFT calculation with PBE was carried out for a geometry-optimized K2Re3CS5N structure.

Cell lengths 9.3491, 10.3310, 11.4775 Å; angles 90.00, 90.00, 90.00 degrees
Last column: nearest neighbours and their distance in Å.
Fractional coordinates of all 48 atoms:
K1 0.0475 0.7500 0.2500  2 N 2.98, 2 C 3.09, 3 S 3.14-3.30
K2 0.0475 0.7500 0.7500  2 N 2.98, 2 C 3.09, 3 S 3.14-3.30
K3 0.2213 0.0742 0.0000  2 N 2.91-3.03, 1 S 3.01
K4 0.2213 0.4258 0.5000  2 N 2.91-3.03, 1 S 3.01
K5 0.7787 0.5742 0.5000  2 N 2.91-3.03, 1 S 3.01
K6 0.7787 0.9258 0.0000  2 N 2.91-3.03, 1 S 3.01
K7 0.9525 0.2500 0.2500  2 N 2.98, 2 C 3.09, 3 S 3.14-3.30
K8 0.9525 0.2500 0.7500  2 N 2.98, 2 C 3.09, 3 S 3.14-3.30
Re1 0.3379 0.6047 0.0000  1 C 2.10
Re2 0.3379 0.8953 0.5000  1 C 2.10
Re3 0.4177 0.1059 0.3853  5 S 2.42-2.47, 4 Re 2.63-2.67
Re4 0.4177 0.1059 0.6147  5 S 2.42-2.47, 4 Re 2.63-2.67
Re5 0.4177 0.3941 0.1147  5 S 2.42-2.47, 4 Re 2.63-2.67
Re6 0.4177 0.3941 0.8853  5 S 2.42-2.47, 4 Re 2.63-2.67
Re7 0.5823 0.6059 0.1147  5 S 2.42-2.47, 4 Re 2.63-2.67
Re8 0.5823 0.6059 0.8853  5 S 2.42-2.47, 4 Re 2.63-2.67
Re9 0.5823 0.8941 0.3853  5 S 2.42-2.47, 4 Re 2.63-2.67
Re10 0.5823 0.8941 0.6147  5 S 2.42-2.47, 4 Re 2.63-2.67
Re11 0.6621 0.1047 0.5000  1 C 2.10
Re12 0.6621 0.3953 0.0000  1 C 2.10
C1 0.1694 0.7612 0.5000  1 N 1.19
C2 0.1694 0.7388 0.0000  1 N 1.19
C3 0.8306 0.2388 0.5000  1 N 1.19
C4 0.8306 0.2612 0.0000  1 N 1.19
S1 0.1985 0.0915 0.5000  3 Re 2.41-2.44
S2 0.1985 0.4085 0.0000  3 Re 2.41-2.44
S3 0.2878 0.2500 0.2500  2 Re 2.47
S4 0.2878 0.2500 0.7500  2 Re 2.47
S5 0.3519 0.5932 0.7883  3 Re 2.42-2.44
S6 0.3519 0.9068 0.7117  3 Re 2.42-2.44
S7 0.3519 0.5932 0.2117  3 Re 2.42-2.44
S8 0.3519 0.9068 0.2883  3 Re 2.42-2.44
S9 0.4947 0.7123 0.5000  3 Re 2.39-2.44
S10 0.4947 0.7877 0.0000  3 Re 2.39-2.44
S11 0.5053 0.2123 0.0000  3 Re 2.39-2.44
S12 0.5053 0.2877 0.5000  3 Re 2.39-2.44
S13 0.6481 0.0932 0.2883  3 Re 2.42-2.44
S14 0.6481 0.0932 0.7117  3 Re 2.42-2.44
S15 0.6481 0.4068 0.7883  3 Re 2.42-2.44
S16 0.6481 0.4068 0.2117  3 Re 2.42-2.44
S17 0.7122 0.7500 0.2500  2 Re 2.47
S18 0.7122 0.7500 0.7500  2 Re 2.47
S19 0.8015 0.5915 0.0000  3 Re 2.41-2.44
S20 0.8015 0.9085 0.5000  3 Re 2.41-2.44
N1 0.0825 0.8223 0.0000  1 C 1.19
N2 0.0825 0.6777 0.5000  1 C 1.19
N3 0.9175 0.1777 0.0000  1 C 1.19
N4 0.9175 0.3223 0.5000  1 C 1.19

Calculated values
- Space-group type: Pmna
- DFT formation energy: -0.90 eV per atom

---

A plane-wave DFT calculation with PBE was carried out for a geometry-optimized SrGaSn structure.

Cell lengths 4.6332, 4.6332, 18.7975 Å; angles 90.00, 90.00, 120.00 degrees
Last column: nearest neighbours and their distance in Å.
Fractional coordinates of all 12 atoms:
Sr1 0.0000 0.0000 0.0000  6 Sn 3.45
Sr2 0.0000 0.0000 0.7500  6 Ga 3.15
Sr3 0.0000 0.0000 0.5000  6 Sn 3.45
Sr4 0.0000 0.0000 0.2500  6 Ga 3.15
Ga1 0.6667 0.3333 0.1615  3 Sn 2.81
Ga2 0.3333 0.6667 0.6615  3 Sn 2.81
Ga3 0.6667 0.3333 0.3385  3 Sn 2.81
Ga4 0.3333 0.6667 0.8385  3 Sn 2.81
Sn1 0.3333 0.6667 0.3840  3 Ga 2.81
Sn2 0.6667 0.3333 0.8840  3 Ga 2.81
Sn3 0.6667 0.3333 0.6160  3 Ga 2.81
Sn4 0.3333 0.6667 0.1160  3 Ga 2.81

Calculated values
- Space-group type: P6_3/mmc
- DFT formation energy: -0.54 eV per atom

---

A plane-wave DFT calculation with PBE was carried out for a geometry-optimized DyHO2 structure.

Cell lengths 3.5298, 3.5298, 9.2244 Å; angles 90.00, 90.00, 120.00 degrees
Last column: nearest neighbours and their distance in Å.
Fractional coordinates of all 8 atoms:
Dy1 0.0000 0.0000 0.0000  6 O 2.31
Dy2 0.0000 0.0000 0.5000  6 O 2.31
H1 0.3333 0.6667 0.2500  2 O 1.23
H2 0.6667 0.3333 0.7500  2 O 1.23
O1 0.3333 0.6667 0.1171  1 H 1.23
O2 0.3333 0.6667 0.3829  1 H 1.23
O3 0.6667 0.3333 0.8829  1 H 1.23
O4 0.6667 0.3333 0.6171  1 H 1.23

Calculated values
- Space-group type: P6_3/mmc
- DFT formation energy: -2.91 eV per atom
- Magnetization: 0.0 μB/f.u.

---

| no. | final energy (eV for the cell shown) |
| --- | --- |
| 1 | -716.102 |
| 2 | -122.157 |
| 3 | -24.415 |
| 4 | -342.835 |
| 5 | -41.371 |
| 6 | -56.350 |